1.
Computed, not measured: crystalline SnC8S6N2 at its relaxed geometry at the GGA-PBE level of DFT.

a b c (Å): 13.3375 13.3375 8.2538
angles (deg): 106.66 106.66 67.17
Element x y z (fractional)
Sn  0.0000  0.0000  0.0000
Sn  0.0000  0.5000  0.0000
Sn  0.5000  0.0000  0.0000
Sn  0.5000  0.5000  0.0000
C  0.0489  0.1651  0.6841
C  0.0800  0.0800  0.7946
C  0.1052  0.1052  0.5355
C  0.1491  0.5551  0.7824
C  0.1651  0.0489  0.6841
C  0.1825  0.6882  0.7988
C  0.1826  0.6371  0.9363
C  0.2019  0.6612  0.1126
C  0.2909  0.2909  0.1563
C  0.3118  0.8175  0.2012
C  0.3334  0.4795  0.2567
C  0.3388  0.7981  0.8874
C  0.3603  0.3603  0.1733
C  0.3629  0.8174  0.0637
C  0.4449  0.8509  0.2176
C  0.4795  0.3334  0.2567
C  0.5205  0.6666  0.7433
C  0.5551  0.1491  0.7824
C  0.6371  0.1826  0.9363
C  0.6397  0.6397  0.8267
C  0.6612  0.2019  0.1126
C  0.6666  0.5205  0.7433
C  0.6882  0.1825  0.7988
C  0.7091  0.7091  0.8437
C  0.7981  0.3388  0.8874
C  0.8174  0.3629  0.0637
C  0.8175  0.3118  0.2012
C  0.8349  0.9511  0.3159
C  0.8509  0.4449  0.2176
C  0.8948  0.8948  0.4645
C  0.9200  0.9200  0.2054
C  0.9511  0.8349  0.3159
S  0.1069  0.4473  0.7305
S  0.1103  0.1103  0.3441
S  0.1568  0.3462  0.1797
S  0.1864  0.5770  0.2345
S  0.1940  0.8020  0.2253
S  0.1980  0.8060  0.7747
S  0.3462  0.1568  0.1797
S  0.3917  0.3917  0.8332
S  0.4060  0.5712  0.2741
S  0.4230  0.8136  0.7655
S  0.4288  0.5940  0.7259
S  0.4473  0.1069  0.7305
S  0.5527  0.8931  0.2695
S  0.5712  0.4060  0.2741
S  0.5770  0.1864  0.2345
S  0.5940  0.4288  0.7259
S  0.6083  0.6083  0.1668
S  0.6538  0.8432  0.8203
S  0.8020  0.1940  0.2253
S  0.8060  0.1980  0.7747
S  0.8136  0.4230  0.7655
S  0.8432  0.6538  0.8203
S  0.8897  0.8897  0.6559
S  0.8931  0.5527  0.2695
N  0.1503  0.6140  0.6643
N  0.1521  0.1521  0.8229
N  0.3860  0.8497  0.3357
N  0.3952  0.3952  0.3761
N  0.6048  0.6048  0.6239
N  0.6140  0.1503  0.6643
N  0.8479  0.8479  0.1771
N  0.8497  0.3860  0.3357

Output
total energy: -421.37 eV for the cell shown
energy relative to the elements: 10.2 eV per formula unit
crystal system: monoclinic
energy relative to the lowest polymorph listed for this composition: 0.0 kJ/mol of formula units
symmetry: C2/m


2.
Computed, not measured: crystalline GdMg16Al12 at its relaxed geometry at the GGA-PBE level of DFT.

a b c (Å): 9.2473 9.2473 9.2473
angles (deg): 110.41 110.41 110.41
Element x y z (fractional)
Gd  0.0000  0.0000  0.0000
Mg  0.0187  0.3136  0.6264
Mg  0.0187  0.6264  0.3136
Mg  0.2361  0.2361  0.9056
Mg  0.2361  0.9056  0.2361
Mg  0.2798  0.6196  0.6196
Mg  0.3136  0.0187  0.6264
Mg  0.3136  0.6264  0.0187
Mg  0.3400  0.9399  0.9399
Mg  0.6196  0.2798  0.6196
Mg  0.6196  0.6196  0.2798
Mg  0.6218  0.6218  0.6218
Mg  0.6264  0.0187  0.3136
Mg  0.6264  0.3136  0.0187
Mg  0.9056  0.2361  0.2361
Mg  0.9399  0.3400  0.9399
Mg  0.9399  0.9399  0.3400
Al  0.2546  0.2546  0.4349
Al  0.2546  0.4349  0.2546
Al  0.4349  0.2546  0.2546
Al  0.4358  0.4358  0.7983
Al  0.4358  0.7983  0.4358
Al  0.6273  0.8089  0.9879
Al  0.6273  0.9879  0.8089
Al  0.7983  0.4358  0.4358
Al  0.8089  0.6273  0.9879
Al  0.8089  0.9879  0.6273
Al  0.9879  0.6273  0.8089
Al  0.9879  0.8089  0.6273

Output
total energy: -86.51 eV for the cell shown
energy relative to the elements: -1.9 eV per formula unit
crystal system: trigonal
symmetry: R3m


3.
Computed, not measured: crystalline Er2Sn3Pb3S12 at its relaxed geometry at the GGA-PBE level of DFT.

a b c (Å): 3.9447 20.3452 11.6306
angles (deg): 90.00 90.00 90.00
Element x y z (fractional)
Er  0.0000  0.0882  0.0000
Er  0.0000  0.3951  0.6752
Er  0.0000  0.6049  0.1752
Er  0.0000  0.9118  0.5000
Sn  0.5000  0.0754  0.3440
Sn  0.5000  0.2506  0.8511
Sn  0.5000  0.4119  0.3692
Sn  0.5000  0.5881  0.8692
Sn  0.5000  0.7494  0.3511
Sn  0.5000  0.9246  0.8440
Pb  0.0000  0.1224  0.6211
Pb  0.0000  0.2422  0.2540
Pb  0.0000  0.4140  0.0474
Pb  0.0000  0.5860  0.5474
Pb  0.0000  0.7578  0.7540
Pb  0.0000  0.8776  0.1211
S  0.0000  0.0095  0.2864
S  0.0000  0.2423  0.9960
S  0.0000  0.2579  0.6995
S  0.0000  0.3416  0.4519
S  0.0000  0.4838  0.2901
S  0.0000  0.5162  0.7901
S  0.0000  0.6584  0.9519
S  0.0000  0.7421  0.1995
S  0.0000  0.7577  0.4960
S  0.0000  0.9905  0.7864
S  0.5000  0.0094  0.5331
S  0.5000  0.1259  0.8377
S  0.5000  0.1407  0.1533
S  0.5000  0.1786  0.4524
S  0.5000  0.3427  0.1868
S  0.5000  0.3764  0.8394
S  0.5000  0.4685  0.5655
S  0.5000  0.5315  0.0655
S  0.5000  0.6236  0.3394
S  0.5000  0.6573  0.6868
S  0.5000  0.8214  0.9524
S  0.5000  0.8593  0.6533
S  0.5000  0.8741  0.3377
S  0.5000  0.9906  0.0331

Output
total energy: -196.99 eV for the cell shown
energy relative to the elements: -22.6 eV per formula unit
crystal system: orthorhombic
symmetry: Pmc2_1


4.
Computed, not measured: crystalline In11Sb3O24 at its relaxed geometry at the GGA-PBE level of DFT.

a b c (Å): 8.1744 8.2042 8.2429
angles (deg): 71.45 71.95 72.05
Element x y z (fractional)
In  0.0000  0.0000  0.0000
In  0.0229  0.7939  0.6737
In  0.1274  0.6068  0.3175
In  0.1954  0.3276  0.9712
In  0.3013  0.1384  0.6045
In  0.3399  0.9283  0.2827
In  0.4863  0.5057  0.4990
In  0.5231  0.2952  0.1807
In  0.7012  0.8250  0.4610
In  0.8042  0.6343  0.1120
In  0.8371  0.4353  0.7834
Sb  0.4147  0.7142  0.8945
Sb  0.6249  0.1107  0.8209
Sb  0.9138  0.2117  0.3919
O  0.0485  0.1321  0.1693
O  0.0893  0.2247  0.8084
O  0.1340  0.0815  0.4761
O  0.1945  0.8523  0.8051
O  0.2394  0.7132  0.4752
O  0.2821  0.8000  0.1122
O  0.3302  0.3888  0.4010
O  0.3304  0.4886  0.0262
O  0.4268  0.2946  0.7223
O  0.4296  0.1208  0.0494
O  0.4949  0.0440  0.3860
O  0.5028  0.9485  0.7683
O  0.5430  0.6385  0.6711
O  0.5884  0.7187  0.3084
O  0.6355  0.5805  0.9794
O  0.6935  0.3482  0.3073
O  0.7292  0.2124  0.9662
O  0.7773  0.2818  0.6273
O  0.8163  0.9036  0.8868
O  0.8235  0.9938  0.5258
O  0.9115  0.7998  0.2103
O  0.9157  0.6318  0.5631
O  0.9964  0.4351  0.2674
O  0.9956  0.5507  0.8903

Output
total energy: -219.44 eV for the cell shown
energy relative to the elements: -74.5 eV per formula unit
crystal system: triclinic
symmetry: P1


5.
Computed, not measured: crystalline CeMg6Cu at its relaxed geometry at the GGA-PBE level of DFT.

a b c (Å): 4.9393 6.7275 6.7275
angles (deg): 56.27 90.00 90.00
Element x y z (fractional)
Ce  0.0000  0.0000  0.0000
Mg  0.0000  0.4696  0.4696
Mg  0.0000  0.4827  0.9906
Mg  0.0000  0.9906  0.4827
Mg  0.5000  0.1324  0.6216
Mg  0.5000  0.6216  0.1324
Mg  0.5000  0.6296  0.6296
Cu  0.5000  0.1569  0.1569

Output
total energy: -18.91 eV for the cell shown
energy relative to the elements: 0.7 eV per formula unit
crystal system: orthorhombic
energy relative to the lowest polymorph listed for this composition: 16.1 kJ/mol of formula units
symmetry: Amm2


6.
Computed, not measured: crystalline Tl2Pd3Se2 at its relaxed geometry at the GGA-PBE level of DFT.

a b c (Å): 6.1707 6.1707 6.1707
angles (deg): 57.03 57.03 57.03
Element x y z (fractional)
Tl  0.0000  0.0000  0.0000
Tl  0.5000  0.5000  0.5000
Pd  0.0000  0.5000  0.5000
Pd  0.5000  0.0000  0.5000
Pd  0.5000  0.5000  0.0000
Se  0.2161  0.2161  0.2161
Se  0.7839  0.7839  0.7839

Output
total energy: -29.67 eV for the cell shown
energy relative to the elements: -3.4 eV per formula unit
crystal system: trigonal
symmetry: R-3m


7.
Computed, not measured: crystalline CeYCu4 at its relaxed geometry at the GGA-PBE level of DFT.

a b c (Å): 5.4844 5.4844 5.4844
angles (deg): 133.76 102.23 95.54
Element x y z (fractional)
Ce  0.0000  0.0000  0.0000
Y  0.4230  0.9230  0.5000
Cu  0.4250  0.6253  0.7997
Cu  0.5941  0.2945  0.2996
Cu  0.8256  0.6253  0.2003
Cu  0.9949  0.2945  0.7004

Output
total energy: -30.00 eV for the cell shown
energy relative to the elements: -1.2 eV per formula unit
crystal system: orthorhombic
symmetry: Imm2


8.
Computed, not measured: crystalline YNiBC at its relaxed geometry at the GGA-PBE level of DFT.

a b c (Å): 3.5901 3.5901 7.5436
angles (deg): 90.00 90.00 90.00
Element x y z (fractional)
Y  0.2500  0.2500  0.1652
Y  0.7500  0.7500  0.8348
Ni  0.2500  0.7500  0.5000
Ni  0.7500  0.2500  0.5000
B  0.2500  0.2500  0.6437
B  0.7500  0.7500  0.3563
C  0.2500  0.2500  0.8419
C  0.7500  0.7500  0.1581

Output
total energy: -60.43 eV for the cell shown
energy relative to the elements: -2.1 eV per formula unit
crystal system: tetragonal
symmetry: P4/nmm


9.
Computed, not measured: crystalline UPbI6 at its relaxed geometry at the GGA-PBE level of DFT.

a b c (Å): 7.7658 7.7658 14.3474
angles (deg): 90.00 90.00 120.00
Element x y z (fractional)
U  0.0000  0.0000  0.0000
U  0.0000  0.0000  0.5000
Pb  0.3333  0.6667  0.2500
Pb  0.6667  0.3333  0.7500
I  0.0139  0.3280  0.8798
I  0.0139  0.6860  0.6202
I  0.3140  0.3280  0.6202
I  0.3140  0.9861  0.8798
I  0.3280  0.0139  0.3798
I  0.3280  0.3140  0.1202
I  0.6720  0.6860  0.8798
I  0.6720  0.9861  0.6202
I  0.6860  0.0139  0.1202
I  0.6860  0.6720  0.3798
I  0.9861  0.3140  0.3798
I  0.9861  0.6720  0.1202

Output
total energy: -60.04 eV for the cell shown
energy relative to the elements: -8.1 eV per formula unit
crystal system: trigonal
symmetry: P-31c


10.
Computed, not measured: crystalline Er5Tl3 at its relaxed geometry at the GGA-PBE level of DFT.

a b c (Å): 9.1204 9.1204 9.1204
angles (deg): 128.04 128.04 76.55
Element x y z (fractional)
Er  0.0000  0.0000  0.0000
Er  0.0082  0.5082  0.8197
Er  0.1885  0.0082  0.5000
Er  0.3115  0.8115  0.8197
Er  0.4918  0.3115  0.5000
Er  0.5000  0.5000  0.0000
Er  0.5082  0.6885  0.5000
Er  0.6885  0.1885  0.1803
Er  0.8115  0.9918  0.5000
Er  0.9918  0.4918  0.1803
Tl  0.1362  0.3638  0.5000
Tl  0.2500  0.2500  0.0000
Tl  0.3638  0.8638  0.2277
Tl  0.6362  0.1362  0.7723
Tl  0.7500  0.7500  0.0000
Tl  0.8638  0.6362  0.5000

Output
total energy: -64.22 eV for the cell shown
energy relative to the elements: -2.2 eV per formula unit
crystal system: tetragonal
energy relative to the lowest polymorph listed for this composition: 15.0 kJ/mol of formula units
symmetry: I4/mcm


11.
Computed, not measured: crystalline Sr3N2 at its relaxed geometry at the GGA-PBE level of DFT.

a b c (Å): 4.9790 4.9790 4.9790
angles (deg): 90.00 90.00 90.00
Element x y z (fractional)
Sr  0.0000  0.0000  0.5000
Sr  0.0000  0.5000  0.0000
Sr  0.5000  0.0000  0.0000
N  0.0000  0.0000  0.0000
N  0.5000  0.5000  0.5000

Output
total energy: -21.64 eV for the cell shown
energy relative to the elements: -0.6 eV per formula unit
crystal system: cubic
symmetry: Pm-3m


12.
Computed, not measured: crystalline Na3SmCl6 at its relaxed geometry at the GGA-PBE level of DFT.

a b c (Å): 7.6104 7.6104 7.6104
angles (deg): 60.00 60.00 60.00
Element x y z (fractional)
Na  0.0000  0.0000  0.0000
Na  0.2500  0.2500  0.2500
Na  0.7500  0.7500  0.7500
Sm  0.5000  0.5000  0.5000
Cl  0.2512  0.2512  0.7488
Cl  0.2512  0.7488  0.2512
Cl  0.2512  0.7488  0.7488
Cl  0.7488  0.2512  0.2512
Cl  0.7488  0.2512  0.7488
Cl  0.7488  0.7488  0.2512

Output
total energy: -38.17 eV for the cell shown
energy relative to the elements: -22.1 eV per formula unit
crystal system: cubic
symmetry: Fm-3m


> The highest energy relative to the elements belongs to which entry?

SnC8S6N2